{
  "formula": "Li7Mn8B8O24",
  "functional": "PBE with a Hubbard U",
  "state": "relaxed",
  "volume_a3_per_atom": 10.69,
  "formation_energy_ev_per_atom": -2.48,
  "sg": "P1, No. 1",
  "lattice_angstrom": [[-5.243, 0.000, 0.000], [-0.112, -9.128, 0.000], [2.465, 4.127, 10.497]],
  "species": ["Li", "Li", "Li", "Li", "Li", "Li", "Li", "Mn", "Mn", "Mn", "Mn", "Mn", "Mn", "Mn", "Mn", "B", "B", "B", "B", "B", "B", "B", "B", "O", "O", "O", "O", "O", "O", "O", "O", "O", "O", "O", "O", "O", "O", "O", "O", "O", "O", "O", "O", "O", "O", "O", "O"],
  "frac_coords": [[0.968, 0.967, 0.091], [0.725, 0.756, 0.332], [0.477, 0.459, 0.068], [0.702, 0.712, 0.583], [0.239, 0.264, 0.348], [0.199, 0.211, 0.587], [0.021, 0.993, 0.838], [0.750, 0.434, 0.367], [0.724, 0.061, 0.622], [0.470, 0.146, 0.115], [0.528, 0.837, 0.868], [0.259, 0.939, 0.373], [0.001, 0.646, 0.125], [0.228, 0.553, 0.628], [0.014, 0.351, 0.863], [0.969, 0.318, 0.129], [0.762, 0.107, 0.374], [0.483, 0.814, 0.127], [0.720, 0.386, 0.614], [0.524, 0.181, 0.874], [0.261, 0.605, 0.369], [0.231, 0.888, 0.626], [0.049, 0.699, 0.891], [0.977, 0.887, 0.642], [0.722, 0.348, 0.156], [0.896, 0.289, 0.657], [0.592, 0.917, 0.085], [0.611, 0.686, 0.141], [0.820, 0.502, 0.579], [0.962, 0.594, 0.942], [0.931, 0.839, 0.904], [0.665, 0.987, 0.406], [0.592, 0.204, 0.331], [0.761, 0.151, 0.834], [0.527, 0.633, 0.389], [0.458, 0.365, 0.604], [0.236, 0.842, 0.160], [0.403, 0.782, 0.657], [0.319, 0.996, 0.580], [0.093, 0.422, 0.091], [0.091, 0.188, 0.142], [0.410, 0.320, 0.887], [0.405, 0.066, 0.905], [0.154, 0.492, 0.401], [0.090, 0.701, 0.317], [0.251, 0.657, 0.830], [0.029, 0.128, 0.388]]
}

---

{
  "formula": "Cr6CdCu2O12",
  "functional": "PBE with a Hubbard U",
  "state": "relaxed",
  "volume_a3_per_atom": 11.25,
  "formation_energy_ev_per_atom": -1.99,
  "sg": "C2, No. 5",
  "lattice_angstrom": [[5.344, -1.338, -2.656], [-3.968, -5.120, -5.404], [-0.444, 3.770, -9.830]],
  "species": ["Cr", "Cr", "Cr", "Cr", "Cr", "Cr", "Cr", "Cr", "Cr", "Cr", "Cr", "Cr", "Cd", "Cd", "Cu", "Cu", "Cu", "Cu", "O", "O", "O", "O", "O", "O", "O", "O", "O", "O", "O", "O", "O", "O", "O", "O", "O", "O", "O", "O", "O", "O", "O", "O"],
  "frac_coords": [[0.084, 0.708, 0.834], [0.417, 0.045, 0.169], [0.753, 0.373, 0.497], [0.583, 0.208, 0.833], [0.914, 0.537, 0.170], [0.250, 0.880, 0.498], [0.247, 0.370, 0.005], [0.586, 0.712, 0.334], [0.917, 0.041, 0.664], [0.420, 0.041, 0.662], [0.749, 0.371, 0.003], [0.081, 0.713, 0.333], [0.167, 0.418, 0.666], [0.500, 0.750, 0.001], [0.833, 0.083, 0.333], [0.999, 0.001, 0.001], [0.333, 0.332, 0.333], [0.667, 0.668, 0.666], [0.458, 0.276, 0.663], [0.789, 0.607, 0.001], [0.110, 0.953, 0.332], [0.280, 0.131, 0.002], [0.610, 0.469, 0.334], [0.947, 0.798, 0.667], [0.209, 0.606, 0.004], [0.557, 0.952, 0.334], [0.878, 0.275, 0.666], [0.719, 0.132, 0.000], [0.057, 0.470, 0.332], [0.387, 0.800, 0.665], [0.071, 0.458, 0.862], [0.405, 0.798, 0.193], [0.744, 0.124, 0.515], [0.427, 0.293, 0.149], [0.761, 0.625, 0.481], [0.096, 0.961, 0.812], [0.595, 0.986, 0.805], [0.922, 0.306, 0.152], [0.261, 0.658, 0.473], [0.571, 0.440, 0.855], [0.905, 0.773, 0.186], [0.239, 0.108, 0.518]]
}

---

{
  "formula": "KMn8O16",
  "functional": "PBE with a Hubbard U",
  "state": "relaxed",
  "volume_a3_per_atom": 11.75,
  "formation_energy_ev_per_atom": -1.90,
  "sg": "P-1, No. 2",
  "lattice_angstrom": [[5.902, 0.000, 0.000], [-1.479, -7.049, 0.000], [-1.465, 0.008, -7.062]],
  "species": ["K", "Mn", "Mn", "Mn", "Mn", "Mn", "Mn", "Mn", "Mn", "O", "O", "O", "O", "O", "O", "O", "O", "O", "O", "O", "O", "O", "O", "O", "O"],
  "frac_coords": [[0.000, 0.000, 0.000], [0.576, 0.817, 0.483], [0.077, 0.817, 0.487], [0.923, 0.183, 0.513], [0.424, 0.183, 0.517], [0.167, 0.486, 0.183], [0.666, 0.483, 0.182], [0.334, 0.517, 0.818], [0.833, 0.514, 0.817], [0.674, 0.047, 0.640], [0.169, 0.049, 0.642], [0.831, 0.951, 0.358], [0.326, 0.953, 0.360], [0.651, 0.641, 0.953], [0.147, 0.642, 0.951], [0.853, 0.358, 0.049], [0.349, 0.359, 0.047], [0.978, 0.625, 0.290], [0.479, 0.621, 0.293], [0.521, 0.379, 0.707], [0.022, 0.375, 0.710], [0.667, 0.293, 0.379], [0.167, 0.291, 0.376], [0.833, 0.709, 0.624], [0.333, 0.707, 0.621]]
}

---

{
  "formula": "NaLaVWO6",
  "functional": "PBE with a Hubbard U",
  "state": "relaxed",
  "volume_a3_per_atom": 12.73,
  "formation_energy_ev_per_atom": -2.63,
  "sg": "F-43m, No. 216",
  "lattice_angstrom": [[0.000, -3.992, -3.992], [3.992, 0.000, -3.992], [3.992, -3.992, 0.000]],
  "species": ["Na", "La", "V", "W", "O", "O", "O", "O", "O", "O"],
  "frac_coords": [[0.750, 0.750, 0.750], [0.250, 0.250, 0.250], [0.000, 0.000, 0.000], [0.500, 0.500, 0.500], [0.743, 0.257, 0.257], [0.257, 0.743, 0.743], [0.743, 0.257, 0.743], [0.257, 0.743, 0.257], [0.743, 0.743, 0.257], [0.257, 0.257, 0.743]]
}

---

{
  "formula": "Nd5Mn8Pb3O24",
  "functional": "PBE with a Hubbard U",
  "state": "relaxed",
  "volume_a3_per_atom": 11.94,
  "formation_energy_ev_per_atom": -2.42,
  "sg": "Pm-3m, No. 221",
  "lattice_angstrom": [[7.817, 0.000, 0.000], [0.000, 7.817, 0.000], [0.000, 0.000, 7.817]],
  "species": ["Nd", "Nd", "Nd", "Nd", "Nd", "Mn", "Mn", "Mn", "Mn", "Mn", "Mn", "Mn", "Mn", "Pb", "Pb", "Pb", "O", "O", "O", "O", "O", "O", "O", "O", "O", "O", "O", "O", "O", "O", "O", "O", "O", "O", "O", "O", "O", "O", "O", "O"],
  "frac_coords": [[0.000, 0.000, 0.000], [0.000, 0.500, 0.500], [0.500, 0.000, 0.500], [0.500, 0.500, 0.000], [0.500, 0.500, 0.500], [0.250, 0.250, 0.250], [0.750, 0.750, 0.750], [0.750, 0.750, 0.250], [0.750, 0.250, 0.750], [0.250, 0.250, 0.750], [0.250, 0.750, 0.250], [0.250, 0.750, 0.750], [0.750, 0.250, 0.250], [0.500, 0.000, 0.000], [0.000, 0.500, 0.000], [0.000, 0.000, 0.500], [0.500, 0.258, 0.258], [0.500, 0.742, 0.742], [0.500, 0.742, 0.258], [0.500, 0.258, 0.742], [0.258, 0.500, 0.258], [0.258, 0.500, 0.742], [0.742, 0.500, 0.742], [0.742, 0.500, 0.258], [0.258, 0.258, 0.500], [0.742, 0.742, 0.500], [0.258, 0.742, 0.500], [0.742, 0.258, 0.500], [0.000, 0.252, 0.252], [0.000, 0.748, 0.748], [0.000, 0.748, 0.252], [0.000, 0.252, 0.748], [0.252, 0.000, 0.252], [0.252, 0.000, 0.748], [0.748, 0.000, 0.748], [0.748, 0.000, 0.252], [0.252, 0.252, 0.000], [0.748, 0.748, 0.000], [0.252, 0.748, 0.000], [0.748, 0.252, 0.000]]
}

---

{
  "formula": "K6Mo7O34",
  "functional": "PBE with a Hubbard U",
  "state": "relaxed",
  "volume_a3_per_atom": 17.58,
  "formation_energy_ev_per_atom": -0.97,
  "sg": "Ama2, No. 40",
  "lattice_angstrom": [[6.101, 7.853, -3.982], [-10.436, -2.114, -1.173], [-3.911, 10.804, 15.315]],
  "species": ["K", "K", "K", "K", "K", "K", "K", "K", "K", "K", "K", "K", "Mo", "Mo", "Mo", "Mo", "Mo", "Mo", "Mo", "Mo", "Mo", "Mo", "Mo", "Mo", "Mo", "Mo", "O", "O", "O", "O", "O", "O", "O", "O", "O", "O", "O", "O", "O", "O", "O", "O", "O", "O", "O", "O", "O", "O", "O", "O", "O", "O", "O", "O", "O", "O", "O", "O", "O", "O", "O", "O", "O", "O", "O", "O", "O", "O", "O", "O", "O", "O", "O", "O", "O", "O", "O", "O", "O", "O", "O", "O", "O", "O", "O", "O", "O", "O", "O", "O", "O", "O", "O", "O"],
  "frac_coords": [[0.614, 0.614, 0.500], [0.614, 0.614, 0.000], [0.232, 0.504, 0.250], [0.504, 0.232, 0.750], [0.964, 0.143, 0.389], [0.143, 0.964, 0.611], [0.964, 0.143, 0.111], [0.143, 0.964, 0.889], [0.743, 0.333, 0.461], [0.333, 0.743, 0.539], [0.743, 0.333, 0.039], [0.333, 0.743, 0.961], [0.191, 0.912, 0.420], [0.912, 0.191, 0.580], [0.191, 0.912, 0.080], [0.912, 0.191, 0.920], [0.145, 0.877, 0.250], [0.877, 0.145, 0.750], [0.373, 0.260, 0.338], [0.260, 0.373, 0.662], [0.373, 0.260, 0.162], [0.260, 0.373, 0.838], [0.457, 0.908, 0.337], [0.908, 0.457, 0.663], [0.457, 0.908, 0.163], [0.908, 0.457, 0.837], [0.969, 0.807, 0.472], [0.807, 0.969, 0.528], [0.969, 0.807, 0.028], [0.807, 0.969, 0.972], [0.991, 0.693, 0.465], [0.693, 0.991, 0.535], [0.991, 0.693, 0.035], [0.693, 0.991, 0.965], [0.017, 0.778, 0.326], [0.778, 0.017, 0.674], [0.017, 0.778, 0.174], [0.778, 0.017, 0.826], [0.318, 0.004, 0.493], [0.004, 0.318, 0.507], [0.318, 0.004, 0.007], [0.004, 0.318, 0.993], [0.349, 0.036, 0.338], [0.036, 0.349, 0.662], [0.349, 0.036, 0.162], [0.036, 0.349, 0.838], [0.186, 0.087, 0.398], [0.087, 0.186, 0.602], [0.186, 0.087, 0.102], [0.087, 0.186, 0.898], [0.259, 0.784, 0.398], [0.784, 0.259, 0.602], [0.259, 0.784, 0.102], [0.784, 0.259, 0.898], [0.191, 0.081, 0.250], [0.081, 0.191, 0.750], [0.257, 0.795, 0.250], [0.795, 0.257, 0.750], [0.536, 0.365, 0.398], [0.365, 0.536, 0.602], [0.536, 0.365, 0.102], [0.365, 0.536, 0.898], [0.494, 0.332, 0.250], [0.332, 0.494, 0.750], [0.303, 0.371, 0.338], [0.371, 0.303, 0.662], [0.303, 0.371, 0.162], [0.371, 0.303, 0.838], [0.616, 0.052, 0.396], [0.052, 0.616, 0.604], [0.616, 0.052, 0.104], [0.052, 0.616, 0.896], [0.569, 0.023, 0.250], [0.023, 0.569, 0.750], [0.462, 0.748, 0.334], [0.748, 0.462, 0.666], [0.462, 0.748, 0.166], [0.748, 0.462, 0.834], [0.932, 0.116, 0.250], [0.116, 0.932, 0.750], [0.864, 0.382, 0.250], [0.382, 0.864, 0.750], [0.800, 0.805, 0.380], [0.805, 0.800, 0.620], [0.800, 0.805, 0.120], [0.805, 0.800, 0.880], [0.341, 0.535, 0.426], [0.535, 0.341, 0.574], [0.341, 0.535, 0.074], [0.535, 0.341, 0.926], [0.930, 0.384, 0.308], [0.384, 0.930, 0.692], [0.930, 0.384, 0.192], [0.384, 0.930, 0.808]]
}

---

{
  "formula": "LiV9O22",
  "functional": "PBE with a Hubbard U",
  "state": "relaxed",
  "volume_a3_per_atom": 12.47,
  "formation_energy_ev_per_atom": -2.31,
  "sg": "P2_1/m, No. 11",
  "lattice_angstrom": [[-12.753, -17.472, -1.391], [2.435, -1.602, -2.207], [3.404, -5.673, 7.873]],
  "species": ["Li", "Li", "V", "V", "V", "V", "V", "V", "V", "V", "V", "V", "V", "V", "V", "V", "V", "V", "V", "V", "O", "O", "O", "O", "O", "O", "O", "O", "O", "O", "O", "O", "O", "O", "O", "O", "O", "O", "O", "O", "O", "O", "O", "O", "O", "O", "O", "O", "O", "O", "O", "O", "O", "O", "O", "O", "O", "O", "O", "O", "O", "O", "O", "O"],
  "frac_coords": [[0.158, 0.750, 0.440], [0.842, 0.250, 0.560], [0.028, 0.250, 0.381], [0.091, 0.750, 0.775], [0.062, 0.250, 0.033], [0.255, 0.750, 0.804], [0.284, 0.250, 0.546], [0.367, 0.750, 0.959], [0.313, 0.250, 0.196], [0.406, 0.750, 0.606], [0.429, 0.250, 0.348], [0.571, 0.750, 0.652], [0.594, 0.250, 0.394], [0.687, 0.750, 0.804], [0.633, 0.250, 0.041], [0.716, 0.750, 0.454], [0.745, 0.250, 0.196], [0.938, 0.750, 0.967], [0.909, 0.250, 0.225], [0.972, 0.750, 0.619], [0.006, 0.750, 0.420], [0.079, 0.250, 0.830], [0.012, 0.250, 0.211], [0.095, 0.750, 0.612], [0.046, 0.750, 0.999], [0.104, 0.250, 0.363], [0.171, 0.750, 0.787], [0.248, 0.750, 0.964], [0.131, 0.250, 0.065], [0.213, 0.250, 0.508], [0.264, 0.250, 0.746], [0.237, 0.250, 0.232], [0.301, 0.750, 0.572], [0.354, 0.750, 0.788], [0.334, 0.250, 0.364], [0.442, 0.750, 0.939], [0.389, 0.250, 0.579], [0.335, 0.750, 0.159], [0.343, 0.250, 0.000], [0.426, 0.750, 0.405], [0.480, 0.750, 0.637], [0.437, 0.250, 0.189], [0.563, 0.750, 0.811], [0.520, 0.250, 0.363], [0.574, 0.250, 0.595], [0.665, 0.250, 0.841], [0.611, 0.750, 0.421], [0.558, 0.250, 0.061], [0.666, 0.750, 0.636], [0.646, 0.250, 0.212], [0.699, 0.250, 0.428], [0.763, 0.750, 0.768], [0.657, 0.750, 0.000], [0.736, 0.750, 0.254], [0.787, 0.750, 0.492], [0.869, 0.750, 0.935], [0.752, 0.250, 0.036], [0.829, 0.250, 0.213], [0.896, 0.750, 0.637], [0.954, 0.250, 0.001], [0.905, 0.250, 0.388], [0.988, 0.750, 0.789], [0.921, 0.750, 0.170], [0.994, 0.250, 0.580]]
}

---

{
  "formula": "Ba5MnCo4O14",
  "functional": "PBE with a Hubbard U",
  "state": "relaxed",
  "volume_a3_per_atom": 14.61,
  "formation_energy_ev_per_atom": -2.14,
  "sg": "P2_1/m, No. 11",
  "lattice_angstrom": [[-0.615, 5.711, -0.726], [-3.161, -1.533, -9.380], [-11.404, -0.725, 3.949]],
  "species": ["Ba", "Ba", "Ba", "Ba", "Ba", "Ba", "Ba", "Ba", "Ba", "Ba", "Mn", "Mn", "Co", "Co", "Co", "Co", "Co", "Co", "Co", "Co", "O", "O", "O", "O", "O", "O", "O", "O", "O", "O", "O", "O", "O", "O", "O", "O", "O", "O", "O", "O", "O", "O", "O", "O", "O", "O", "O", "O"],
  "frac_coords": [[0.750, 0.749, 0.999], [0.250, 0.251, 0.001], [0.750, 0.082, 0.578], [0.250, 0.585, 0.578], [0.250, 0.918, 0.422], [0.750, 0.415, 0.422], [0.750, 0.087, 0.230], [0.250, 0.580, 0.229], [0.250, 0.913, 0.770], [0.750, 0.420, 0.771], [0.250, 0.250, 0.706], [0.750, 0.750, 0.294], [0.750, 0.085, 0.862], [0.250, 0.582, 0.863], [0.250, 0.915, 0.138], [0.750, 0.418, 0.137], [0.750, 0.749, 0.703], [0.250, 0.251, 0.297], [0.750, 0.750, 0.501], [0.250, 0.250, 0.499], [0.006, 0.169, 0.804], [0.504, 0.668, 0.808], [0.494, 0.169, 0.804], [0.996, 0.668, 0.808], [0.750, 0.917, 0.808], [0.250, 0.412, 0.804], [0.994, 0.831, 0.196], [0.496, 0.332, 0.192], [0.506, 0.831, 0.196], [0.004, 0.332, 0.192], [0.250, 0.083, 0.192], [0.750, 0.588, 0.196], [0.750, 0.085, 0.005], [0.250, 0.581, 0.007], [0.250, 0.915, 0.995], [0.750, 0.419, 0.993], [0.025, 0.175, 0.400], [0.530, 0.676, 0.395], [0.475, 0.175, 0.400], [0.970, 0.676, 0.395], [0.750, 0.896, 0.395], [0.250, 0.402, 0.402], [0.975, 0.825, 0.600], [0.470, 0.324, 0.605], [0.525, 0.825, 0.600], [0.030, 0.324, 0.605], [0.250, 0.104, 0.605], [0.750, 0.598, 0.598]]
}